w:
DFT (PBE with a Hubbard U) results for a geometry-optimized MgCrSi2O6 structure.

The structure in POSCAR format:
```
MgCrSi2O6
1.0
-1.8570 -1.0800 -9.1253
-3.2208 -4.1559 1.1473
-8.3038 4.5656 1.1495
Mg Cr Si O
4 4 8 24
Direct
0.0022 0.4884 0.2475
0.9978 0.5116 0.7525
0.5022 0.0116 0.7525
0.4978 0.9884 0.2475
0.3515 0.4881 0.2520
0.6485 0.5119 0.7480
0.8515 0.0119 0.7480
0.1485 0.9881 0.2520
0.8383 0.2393 0.0454
0.1617 0.7607 0.9546
0.3383 0.2607 0.9546
0.6617 0.7393 0.0454
0.1628 0.2188 0.5464
0.8372 0.7812 0.4536
0.6628 0.2812 0.4536
0.3372 0.7188 0.5464
0.9897 0.2264 0.1259
0.0103 0.7736 0.8741
0.4897 0.2736 0.8741
0.5103 0.7264 0.1259
0.3473 0.2090 0.1294
0.6527 0.7910 0.8706
0.8473 0.2910 0.8706
0.1527 0.7090 0.1294
0.2775 0.4249 0.5927
0.7225 0.5751 0.4073
0.7775 0.0751 0.4073
0.2225 0.9249 0.5927
0.1504 0.2732 0.3709
0.8496 0.7268 0.6291
0.6504 0.2268 0.6291
0.3496 0.7732 0.3709
0.7589 0.4833 0.0986
0.2411 0.5167 0.9014
0.2589 0.0167 0.9014
0.7411 0.9833 0.0986
0.5183 0.2466 0.3682
0.4817 0.7534 0.6318
0.0183 0.2534 0.6318
0.9817 0.7466 0.3682
```

Output
- symmetry = P2_1/c, No. 14

=====

x:
DFT (PBE with a Hubbard U) results for a geometry-optimized MgCrSi2O6 structure.

The structure in POSCAR format:
```
MgCrSi2O6
1.0
-0.2975 0.0000 5.3828
-4.7550 4.5228 1.5175
-4.7550 -4.5228 1.5175
Mg Cr Si O
2 2 4 12
Direct
0.2500 0.5968 0.4032
0.7500 0.4032 0.5968
0.7501 0.7673 0.2325
0.2499 0.2327 0.7675
0.2739 0.1168 0.2941
0.7261 0.8832 0.7059
0.2261 0.7059 0.8832
0.7740 0.2941 0.1168
0.9348 0.8531 0.8552
0.0652 0.1470 0.1449
0.5652 0.1449 0.1469
0.4348 0.8552 0.8530
0.1525 0.2937 0.4668
0.8476 0.7063 0.5332
0.3476 0.5332 0.7063
0.6524 0.4668 0.2938
0.3500 0.8778 0.3718
0.6500 0.1222 0.6282
0.1499 0.6282 0.1222
0.8501 0.3718 0.8778
```

Output
- symmetry = C2/c, No. 15

=====

Last place for stability: w